52
Lattice="6.737 0.000 0.000 0.000 10.359 0.000 0.000 0.000 12.639" Properties=species:S:1:pos:R:3 comment="ErP2O10 (PBE, relaxed)" space_group="No. 52" total_energy_ev_per_cell=-352.228 pbc="T T T"
Er 1.684 2.474 3.160
Er 5.053 7.885 9.479
Er 1.684 2.706 9.479
Er 5.053 7.653 3.160
P 0.191 5.160 1.172
P 6.546 5.198 11.467
P 0.191 0.019 11.467
P 3.177 0.019 7.492
P 6.546 10.339 1.172
P 3.560 10.339 5.147
P 3.177 5.160 5.147
P 3.560 5.198 7.492
O 0.916 5.848 12.505
O 5.821 4.510 0.134
O 0.916 9.690 0.134
O 2.453 9.690 6.186
O 5.821 0.669 12.505
O 4.284 0.669 6.453
O 2.453 5.848 6.453
O 4.284 4.510 6.186
O 0.422 0.992 2.089
O 6.315 9.366 10.551
O 0.422 4.187 10.551
O 2.947 4.187 8.408
O 6.315 6.172 2.089
O 3.791 6.172 4.231
O 2.947 0.992 4.231
O 3.791 9.366 8.408
O 3.825 2.781 2.079
O 2.912 7.578 10.561
O 3.825 2.398 10.561
O 6.281 2.398 8.398
O 2.912 7.960 2.079
O 0.456 7.960 4.241
O 6.281 2.781 4.241
O 0.456 7.578 8.398
O 3.106 2.117 1.234
O 3.632 8.242 11.405
O 3.106 3.062 11.405
O 0.263 3.062 7.554
O 3.632 7.296 1.234
O 6.474 7.296 5.085
O 0.263 2.117 5.085
O 6.474 8.242 7.554
O 1.051 4.110 1.800
O 5.686 6.248 10.839
O 1.051 1.069 10.839
O 2.318 1.069 8.119
O 5.686 9.290 1.800
O 4.419 9.290 4.520
O 2.318 4.110 4.520
O 4.419 6.248 8.119

44
Lattice="-8.370 7.110 -4.850 2.325 -1.994 -6.934 -6.727 -12.161 -6.217" Properties=species:S:1:pos:R:3 comment="ZnC4N2Cl4 (PBE, relaxed)" space_group="No. 14" total_energy_ev_per_cell=-218.739 pbc="T T T"
Zn -7.254 -0.401 -8.462
Zn -1.088 -1.470 -5.812
Zn -5.519 -6.644 -9.539
Zn -11.684 -5.575 -12.190
C -7.893 -5.989 -7.929
C -11.253 -4.581 -14.925
C -4.880 -1.057 -10.073
C -1.520 -2.464 -3.076
C -6.367 -6.141 -13.315
C -5.834 -10.328 -5.515
C -6.405 -0.905 -4.687
C -6.938 3.282 -12.486
C -5.193 2.080 -7.020
C -2.381 -4.603 -6.810
C -7.579 -9.125 -10.982
C -10.391 -2.443 -11.191
C -4.265 -4.036 -5.240
C -4.724 2.714 -9.410
C -8.507 -3.010 -12.762
C -8.048 -9.760 -8.591
N -8.160 -4.938 -7.111
N -11.652 -5.066 -16.129
N -4.613 -2.108 -10.890
N -1.120 -1.980 -1.872
N -4.939 2.589 -8.227
N -3.489 -4.387 -6.097
N -7.834 -9.634 -9.775
N -9.284 -2.658 -11.904
Cl -6.568 -0.312 -10.740
Cl -2.464 -0.973 -3.934
Cl -6.204 -6.733 -7.262
Cl -10.309 -6.072 -14.067
Cl -10.042 -1.738 -9.661
Cl -7.309 -10.357 -12.153
Cl -2.731 -5.308 -8.340
Cl -5.463 3.311 -5.848
Cl -8.463 1.073 -7.559
Cl -1.763 -1.344 -7.807
Cl -4.309 -8.119 -10.442
Cl -11.010 -5.701 -10.194
Cl -5.703 -1.990 -8.291
Cl 0.277 -2.358 -4.293
Cl -7.070 -5.056 -9.710
Cl -13.050 -4.687 -13.708

40
Lattice="-3.155 7.399 -5.345 -6.062 -5.927 -4.626 -6.824 1.844 6.580" Properties=species:S:1:pos:R:3 comment="Th3In13Ni4 (PBE, relaxed)" space_group="No. 223" total_energy_ev_per_cell=-173.083 pbc="T T T"
Th -4.201 2.772 1.954
Th -5.778 6.471 -0.719
Th -3.093 2.218 -3.829
Th -6.124 -0.746 -6.142
Th -4.737 -2.502 -0.668
Th -8.149 -1.580 2.622
In 0.000 0.000 0.000
In -8.020 1.658 -1.695
In -3.020 -0.360 1.285
In -9.865 -3.723 0.670
In -7.197 -4.444 -1.903
In -5.688 0.361 3.857
In -2.022 2.540 -0.605
In -6.433 2.247 -4.530
In -7.957 6.703 1.840
In -9.608 1.069 1.139
In -6.724 3.810 3.930
In -5.452 -0.054 -2.868
In -3.255 5.432 -2.695
In -10.589 3.370 -0.522
In -2.336 -0.654 -2.239
In -8.805 -0.433 -4.127
In -6.881 2.127 -7.731
In -7.235 3.749 0.736
In -4.706 -2.972 -4.048
In -5.114 3.176 -1.310
In -4.510 4.444 -5.923
In -10.927 0.140 -2.081
In -8.002 -1.516 -0.787
In -8.039 4.832 -2.604
In -6.117 0.326 0.652
In -9.924 2.990 -4.042
Ni -4.010 0.829 -0.848
Ni -12.031 2.487 -2.543
Ni -8.619 1.565 -5.833
Ni -9.000 5.450 -0.230
Ni -7.422 1.751 2.443
Ni -7.041 -2.134 -3.160
Ni -10.453 -1.212 0.130
Ni -5.588 4.528 -3.520

9
Lattice="5.565 3.846 -3.201 -6.776 3.100 0.693 1.016 1.439 3.496" Properties=species:S:1:pos:R:3 comment="ErSnIr (PBE, relaxed)" space_group="No. 189" total_energy_ev_per_cell=-59.912 pbc="T T T"
Er 0.015 3.548 0.727
Er 3.807 3.000 -0.150
Er -3.509 2.558 2.159
Sn -0.897 5.147 -1.858
Sn 1.442 0.997 -0.829
Sn -1.756 0.803 0.180
Ir 1.451 3.598 -1.903
Ir -2.662 3.349 -0.605
Ir 0.508 0.720 1.748

7
Lattice="-2.061 0.574 -4.380 0.246 -5.060 0.605 -3.893 1.220 4.549" Properties=species:S:1:pos:R:3 comment="VFe2Se4 (PBE, relaxed)" space_group="No. 1" e_above_lowest_polymorph_ev_per_atom=0.264 total_energy_ev_per_cell=-40.948 pbc="T T T"
V -3.071 -0.948 2.604
Fe -2.900 -2.065 -2.411
Fe -3.039 -2.694 0.063
Se -1.212 -1.421 -0.612
Se -3.102 -3.402 2.305
Se -2.904 0.526 -2.086
Se -4.781 -1.144 0.657

2
Lattice="-0.134 2.132 2.675 -1.868 -2.869 0.002 4.087 -2.660 2.326" Properties=species:S:1:pos:R:3 comment="YZr (PBE, relaxed)" space_group="No. 187" total_energy_ev_per_cell=-14.789 pbc="T T T"
Y 1.331 -0.865 2.947
Zr -1.290 -1.202 0.893

4
Lattice="4.385 0.000 0.000 -2.192 3.797 0.000 0.000 0.000 5.209" Properties=species:S:1:pos:R:3 comment="TeMo (PBE, relaxed)" space_group="No. 194" total_energy_ev_per_cell=-27.029 pbc="T T T"
Te 0.000 2.531 1.302
Te 2.192 1.266 3.907
Mo 0.000 0.000 0.000
Mo 0.000 0.000 2.605

20
Lattice="-8.383 0.537 -5.047 -0.196 -0.509 9.785 0.199 6.143 0.323" Properties=species:S:1:pos:R:3 comment="Dy7Rh3 (PBE, relaxed)" space_group="No. 186" total_energy_ev_per_cell=-121.015 pbc="T T T"
Dy -5.548 3.475 0.070
Dy -2.918 0.055 4.852
Dy -7.339 4.647 3.169
Dy -1.965 4.630 0.201
Dy -7.216 4.966 -2.960
Dy -1.045 1.428 1.887
Dy -6.418 1.446 4.855
Dy -1.167 1.110 8.016
Dy -3.922 3.141 6.848
Dy -0.679 3.130 5.057
Dy -3.848 3.333 3.149
Dy -4.539 0.539 -1.918
Dy -7.782 0.550 -0.127
Dy -4.613 0.347 1.781
Rh -1.502 4.899 3.016
Rh -5.201 4.911 5.059
Rh -1.587 4.679 7.235
Rh -6.853 2.038 2.085
Rh -3.154 2.026 0.042
Rh -6.769 2.257 -2.134

36
Lattice="8.652 0.000 0.000 0.000 6.623 0.000 0.000 2.337 10.031" Properties=species:S:1:pos:R:3 comment="BaUTiO6 (PBE, relaxed)" space_group="No. 14" total_energy_ev_per_cell=-317.073 pbc="T T T"
Ba 2.026 3.878 3.433
Ba 6.626 5.082 6.598
Ba 6.352 3.914 1.583
Ba 2.300 5.046 8.449
U 4.484 7.226 3.230
U 8.494 8.395 8.245
U 4.168 1.734 6.802
U 0.158 0.565 1.786
Ti 1.304 7.148 5.517
Ti 5.630 2.981 9.530
Ti 7.349 1.812 4.515
Ti 3.022 5.979 0.501
O 0.090 3.546 7.661
O 4.866 6.413 1.131
O 0.386 2.354 1.269
O 4.712 5.437 3.746
O 2.476 6.601 2.242
O 8.563 5.414 2.371
O 1.296 2.335 9.910
O 5.623 7.794 5.137
O 1.850 7.769 7.258
O 0.540 1.379 3.885
O 7.356 6.625 0.121
O 8.113 7.581 6.147
O 5.705 4.706 9.486
O 8.266 6.606 8.762
O 7.273 3.538 4.471
O 2.947 4.254 0.545
O 1.379 5.422 5.561
O 3.030 1.166 4.895
O 6.176 2.359 7.789
O 3.940 3.523 6.285
O 3.786 2.547 8.900
O 6.802 1.191 2.773
O 4.416 6.582 7.386
O 4.237 2.378 2.645

18
Lattice="-5.694 0.357 -1.615 1.572 -2.202 -6.029 -0.288 -7.438 -0.628" Properties=species:S:1:pos:R:3 comment="YBeNF6 (PBE, relaxed)" space_group="No. 11" total_energy_ev_per_cell=-101.735 pbc="T T T"
Y -0.904 -2.378 -2.781
Y -3.506 -6.905 -5.491
Be -0.328 -5.005 -5.391
Be -4.082 -4.278 -2.881
N -1.327 -6.712 -2.247
N -3.083 -2.571 -6.025
F -1.611 -5.857 -5.658
F -2.799 -3.426 -2.615
F -5.206 -3.275 -3.297
F 0.796 -6.008 -4.975
F -0.591 -3.995 -4.242
F -3.819 -5.289 -4.031
F -2.109 -1.596 -4.796
F -2.301 -7.687 -3.476
F 0.026 -7.833 -2.816
F -4.436 -1.450 -5.456
F -1.485 -2.026 -0.656
F -2.926 -7.257 -7.616

5
Lattice="-2.130 2.130 4.916 2.130 -2.130 4.916 2.130 2.130 -4.916" Properties=species:S:1:pos:R:3 comment="ErGe2Ru2 (PBE, relaxed)" space_group="No. 139" total_energy_ev_per_cell=-35.545 pbc="T T T"
Er 0.000 0.000 0.000
Ge 0.000 0.000 3.646
Ge 0.000 0.000 6.187
Ru 2.130 0.000 2.458
Ru 0.000 2.130 2.458

20
Lattice="-6.420 0.000 0.000 0.000 0.000 -7.356 3.210 -11.768 0.000" Properties=species:S:1:pos:R:3 comment="Hg2SNCl3O3 (PBE, relaxed)" space_group="No. 36" total_energy_ev_per_cell=-68.177 pbc="T T T"
Hg -3.210 -1.341 -5.787
Hg 0.000 -10.426 -2.109
Hg 0.000 -2.297 -1.172
Hg -3.210 -9.471 -4.850
S -3.210 -3.973 -6.312
S 0.000 -7.795 -2.635
N 0.000 -6.157 -5.852
N -3.210 -5.611 -2.174
Cl 0.000 -10.713 -5.306
Cl -3.210 -1.055 -1.628
Cl 0.000 -0.991 -6.578
Cl -3.210 -10.777 -2.900
Cl 0.000 -3.523 -3.107
Cl -3.210 -8.245 -6.784
O -4.458 -3.933 -7.061
O -1.962 -3.933 -7.061
O 1.248 -7.835 -3.384
O -1.248 -7.835 -3.384
O -3.210 -4.521 -4.975
O 0.000 -7.247 -1.298

32
Lattice="-5.230 -5.450 1.877 -3.717 0.433 -6.824 0.039 -7.713 -5.207" Properties=species:S:1:pos:R:3 comment="Ag3P3HO9 (PBE, relaxed)" space_group="No. 12" total_energy_ev_per_cell=-189.232 pbc="T T T"
Ag -4.720 -7.400 -3.545
Ag -4.188 -5.329 -6.609
Ag -3.169 -2.794 -0.546
Ag -5.739 -9.935 -9.609
Ag -6.182 -11.657 -7.061
Ag -2.727 -1.072 -3.093
P -4.323 -6.277 -0.327
P -4.586 -6.452 -9.828
P -5.677 -10.696 -3.550
P -3.231 -2.033 -6.605
P -6.321 -8.109 -6.581
P -2.587 -4.620 -3.573
H -6.072 -3.811 -3.632
H -2.836 -8.918 -6.522
O -8.891 -6.477 -5.925
O -0.017 -6.252 -4.230
O -4.468 -2.853 -6.274
O -4.440 -9.876 -3.881
O -3.606 -6.633 -8.679
O -5.303 -6.097 -1.476
O -7.132 -7.134 -7.595
O -1.776 -5.596 -2.560
O -1.418 -4.203 -4.620
O -7.490 -8.527 -5.535
O -3.465 -5.135 0.116
O -5.443 -7.594 -10.270
O -6.423 -11.403 -4.636
O -2.486 -1.326 -5.519
O -5.234 -7.358 -5.884
O -3.674 -5.371 -4.270
O -2.965 -3.384 -2.803
O -5.943 -9.345 -7.351

4
Lattice="0.000 3.844 3.844 3.844 0.000 3.844 3.844 3.844 0.000" Properties=species:S:1:pos:R:3 comment="LiEuTl2 (PBE, relaxed)" space_group="No. 225" total_energy_ev_per_cell=-18.198 pbc="T T T"
Li 0.000 0.000 0.000
Eu 3.844 3.844 3.844
Tl 1.922 1.922 1.922
Tl 5.765 5.765 5.765

19
Lattice="-5.206 2.837 -0.053 -1.606 -4.850 3.253 2.824 3.169 4.352" Properties=species:S:1:pos:R:3 comment="Sc4Ti3O12 (PBE, relaxed)" space_group="No. 1" e_above_lowest_polymorph_ev_per_atom=0.007 total_energy_ev_per_cell=-170.772 pbc="T T T"
Sc -2.183 -1.701 2.571
Sc -4.448 0.372 3.871
Sc -1.496 -0.888 5.759
Sc -1.782 2.841 5.004
Ti 1.185 -1.686 7.548
Ti 0.451 0.761 3.700
Ti -2.535 2.056 1.812
O -4.161 3.164 1.690
O -2.944 -3.461 3.598
O 1.638 1.667 5.021
O 0.267 -2.022 5.926
O -1.086 4.603 4.093
O -5.749 -0.524 2.456
O -0.768 0.996 5.429
O -3.286 2.189 3.776
O -3.176 -1.100 4.481
O -3.141 0.257 2.117
O -0.636 -0.848 3.683
O -0.815 2.052 3.038

no.,energy of formation from the pure elements (meV per atom)
1,-1907
2,464
3,-270
4,-852
5,-404
6,113
7,237
8,-617
9,-3622
10,-2623
11,-636
12,-268
13,-1759
14,-327
15,-3717